(1)
Entry from Materials Project: a relaxed structure of Ba10Re6CO30 (GGA-PBE).

Structure (CIF):
```
data_Ba10Re6CO30
_chemical_formula_sum 'Ba10 Re6 C1 O30'
_space_group_name_H-M_alt 'P 3 1 m'
_space_group_IT_number 157
_space_group_name_Hall 'P 3 -2'
_cell_length_a 11.1080
_cell_length_b 11.1080
_cell_length_c 7.9234
_cell_angle_alpha 90.00
_cell_angle_beta 90.00
_cell_angle_gamma 120.00
loop_
_atom_site_label
_atom_site_type_symbol
_atom_site_fract_x
_atom_site_fract_y
_atom_site_fract_z
Ba1 Ba 0.0000 0.2690 0.0000
Ba2 Ba 0.0000 0.7314 0.4835
Ba3 Ba 0.3333 0.6667 0.2493
Ba4 Ba 0.3333 0.6667 0.7494
Re1 Re 0.0000 0.3884 0.5442
Re2 Re 0.0000 0.6118 0.0423
C1 C 0.0000 0.0000 0.2415
O1 O 0.0000 0.2933 0.3660
O2 O 0.0000 0.7100 0.8669
O3 O 0.1306 0.5552 0.0041
O4 O 0.1309 0.5753 0.5052
O5 O 0.1316 0.3853 0.6859
O6 O 0.1321 0.7442 0.1862
```

Results
Magnetic moment, μB/f.u.: 2.00
E_form, eV/f.u.: -120.97
Corrected total energy (MP2020 scheme), eV per atom: -7.93


(2)
Entry from Materials Project: a relaxed structure of Ba3Ca (GGA-PBE).

Structure (CIF):
```
data_Ba3Ca
_chemical_formula_sum 'Ba6 Ca2'
_space_group_name_H-M_alt 'P 63/m m c'
_space_group_IT_number 194
_space_group_name_Hall '-P 6c 2c'
_cell_length_a 8.6881
_cell_length_b 8.6881
_cell_length_c 7.0611
_cell_angle_alpha 90.00
_cell_angle_beta 90.00
_cell_angle_gamma 120.00
loop_
_atom_site_label
_atom_site_type_symbol
_atom_site_fract_x
_atom_site_fract_y
_atom_site_fract_z
Ba1 Ba 0.1678 0.3356 0.2500
Ca1 Ca 0.3333 0.6667 0.7500
```

Results
Distance to the lowest polymorph of the same formula, eV/f.u.: 0.000
E_form, eV/f.u.: 0.12


(3)
Entry from Materials Project: a relaxed structure of Ba3Ca (GGA-PBE).

Structure (CIF):
```
data_Ba3Ca
_chemical_formula_sum 'Ba3 Ca1'
_space_group_name_H-M_alt 'P m -3 m'
_space_group_IT_number 221
_space_group_name_Hall '-P 4 2 3'
_cell_length_a 6.1918
_cell_length_b 6.1918
_cell_length_c 6.1918
_cell_angle_alpha 90.00
_cell_angle_beta 90.00
_cell_angle_gamma 90.00
loop_
_atom_site_label
_atom_site_type_symbol
_atom_site_fract_x
_atom_site_fract_y
_atom_site_fract_z
Ba1 Ba 0.0000 0.0000 0.5000
Ca1 Ca 0.5000 0.5000 0.5000
```

Results
Distance to the lowest polymorph of the same formula, eV/f.u.: 0.042
E_form, eV/f.u.: 0.16


(4)
Entry from Materials Project: a relaxed structure of Ba3Ca (GGA-PBE).

Structure (CIF):
```
data_Ba3Ca
_chemical_formula_sum 'Ba6 Ca2'
_space_group_name_H-M_alt 'I 4/m m m'
_space_group_IT_number 139
_space_group_name_Hall '-I 4 2'
_cell_length_a 6.1024
_cell_length_b 6.1024
_cell_length_c 12.7117
_cell_angle_alpha 90.00
_cell_angle_beta 90.00
_cell_angle_gamma 90.00
loop_
_atom_site_label
_atom_site_type_symbol
_atom_site_fract_x
_atom_site_fract_y
_atom_site_fract_z
Ba1 Ba 0.0000 0.0000 0.0000
Ba2 Ba 0.0000 0.5000 0.2500
Ca1 Ca 0.0000 0.0000 0.5000
```

Results
Distance to the lowest polymorph of the same formula, eV/f.u.: 0.037
E_form, eV/f.u.: 0.16


(5)
Entry from Materials Project: a relaxed structure of BaCaCeGeO6 (GGA-PBE).

Structure (CIF):
```
data_BaCaCeGeO6
_chemical_formula_sum 'Ba4 Ca4 Ce4 Ge4 O24'
_space_group_name_H-M_alt 'F -4 3 m'
_space_group_IT_number 216
_space_group_name_Hall 'F -4 2 3'
_cell_length_a 8.2887
_cell_length_b 8.2887
_cell_length_c 8.2887
_cell_angle_alpha 90.00
_cell_angle_beta 90.00
_cell_angle_gamma 90.00
loop_
_atom_site_label
_atom_site_type_symbol
_atom_site_fract_x
_atom_site_fract_y
_atom_site_fract_z
Ba1 Ba 0.0000 0.0000 0.0000
Ca1 Ca 0.0000 0.0000 0.5000
Ce1 Ce 0.2500 0.2500 0.7500
Ge1 Ge 0.2500 0.2500 0.2500
O1 O 0.0174 0.2500 0.2500
```

Results
Magnetic moment, μB/f.u.: 0.00
E_form, eV/f.u.: -30.40
Corrected total energy (MP2020 scheme), eV per atom: -7.46


(6)
Entry from Materials Project: a relaxed structure of BaCaCeHfO6 (GGA-PBE).

Structure (CIF):
```
data_BaCaCeHfO6
_chemical_formula_sum 'Ba2 Ca2 Ce2 Hf2 O12'
_space_group_name_H-M_alt 'P -1'
_space_group_IT_number 2
_space_group_name_Hall '-P 1'
_cell_length_a 5.9494
_cell_length_b 6.0108
_cell_length_c 8.4973
_cell_angle_alpha 89.70
_cell_angle_beta 89.68
_cell_angle_gamma 89.98
loop_
_atom_site_label
_atom_site_type_symbol
_atom_site_fract_x
_atom_site_fract_y
_atom_site_fract_z
Ba1 Ba 0.0061 0.0295 0.2498
Ca1 Ca 0.4930 0.5360 0.2473
Ce1 Ce 0.0000 0.5000 0.0000
Ce2 Ce 0.5000 0.0000 0.5000
Hf1 Hf 0.0000 0.5000 0.5000
Hf2 Hf 0.5000 0.0000 0.0000
O1 O 0.1029 0.4965 0.7394
O2 O 0.2030 0.7794 0.4677
O3 O 0.2195 0.7970 0.0270
O4 O 0.2842 0.3048 0.4395
O5 O 0.3093 0.2885 0.0573
O6 O 0.4382 0.0623 0.7603
```

Results
Distance to the lowest polymorph of the same formula, eV/f.u.: 0.043
Magnetic moment, μB/f.u.: 0.00
E_form, eV/f.u.: -36.50
Corrected total energy (MP2020 scheme), eV per atom: -8.60


(7)
Entry from Materials Project: a relaxed structure of BaCaCeHfO6 (GGA-PBE).

Structure (CIF):
```
data_BaCaCeHfO6
_chemical_formula_sum 'Ba4 Ca4 Ce4 Hf4 O24'
_space_group_name_H-M_alt 'F -4 3 m'
_space_group_IT_number 216
_space_group_name_Hall 'F -4 2 3'
_cell_length_a 8.5971
_cell_length_b 8.5971
_cell_length_c 8.5971
_cell_angle_alpha 90.00
_cell_angle_beta 90.00
_cell_angle_gamma 90.00
loop_
_atom_site_label
_atom_site_type_symbol
_atom_site_fract_x
_atom_site_fract_y
_atom_site_fract_z
Ba1 Ba 0.0000 0.0000 0.0000
Ca1 Ca 0.0000 0.0000 0.5000
Ce1 Ce 0.2500 0.2500 0.7500
Hf1 Hf 0.2500 0.2500 0.2500
O1 O 0.0086 0.2500 0.2500
```

Results
Distance to the lowest polymorph of the same formula, eV/f.u.: 0.979
Magnetic moment, μB/f.u.: 0.00
E_form, eV/f.u.: -35.56
Corrected total energy (MP2020 scheme), eV per atom: -8.51


(8)
Entry from Materials Project: a relaxed structure of BaCaCeHfO6 (GGA-PBE).

Structure (CIF):
```
data_BaCaCeHfO6
_chemical_formula_sum 'Ba4 Ca4 Ce4 Hf4 O24'
_space_group_name_H-M_alt 'P 2 2 2'
_space_group_IT_number 16
_space_group_name_Hall 'P 2 2'
_cell_length_a 8.4692
_cell_length_b 8.4842
_cell_length_c 8.5026
_cell_angle_alpha 90.00
_cell_angle_beta 90.00
_cell_angle_gamma 90.00
loop_
_atom_site_label
_atom_site_type_symbol
_atom_site_fract_x
_atom_site_fract_y
_atom_site_fract_z
Ba1 Ba 0.0000 0.0000 0.0000
Ba2 Ba 0.0000 0.0000 0.5000
Ba3 Ba 0.0000 0.5000 0.0000
Ba4 Ba 0.5000 0.5000 0.5000
Ca1 Ca 0.0000 0.5000 0.5000
Ca2 Ca 0.5000 0.0000 0.0000
Ca3 Ca 0.5000 0.0000 0.5000
Ca4 Ca 0.5000 0.5000 0.0000
Ce1 Ce 0.2560 0.2512 0.2515
Hf1 Hf 0.2567 0.2500 0.7487
O1 O 0.0107 0.2720 0.7837
O2 O 0.2095 0.3063 0.5101
O3 O 0.2263 0.0074 0.7172
O4 O 0.3004 0.2055 0.9904
O5 O 0.3023 0.4892 0.7982
O6 O 0.4919 0.2107 0.6879
```

Results
Distance to the lowest polymorph of the same formula, eV/f.u.: 0.000
Magnetic moment, μB/f.u.: 0.00
E_form, eV/f.u.: -36.54
Corrected total energy (MP2020 scheme), eV per atom: -8.60


(9)
Entry from Materials Project: a relaxed structure of BaCaCeSnO6 (GGA-PBE).

Structure (CIF):
```
data_BaCaCeSnO6
_chemical_formula_sum 'Ba4 Ca4 Ce4 Sn4 O24'
_space_group_name_H-M_alt 'F -4 3 m'
_space_group_IT_number 216
_space_group_name_Hall 'F -4 2 3'
_cell_length_a 8.5690
_cell_length_b 8.5690
_cell_length_c 8.5690
_cell_angle_alpha 90.00
_cell_angle_beta 90.00
_cell_angle_gamma 90.00
loop_
_atom_site_label
_atom_site_type_symbol
_atom_site_fract_x
_atom_site_fract_y
_atom_site_fract_z
Ba1 Ba 0.0000 0.0000 0.0000
Ca1 Ca 0.0000 0.0000 0.5000
Ce1 Ce 0.2500 0.2500 0.7500
Sn1 Sn 0.2500 0.2500 0.2500
O1 O 0.0082 0.2500 0.2500
```

Results
Distance to the lowest polymorph of the same formula, eV/f.u.: 0.830
Magnetic moment, μB/f.u.: 0.00
E_form, eV/f.u.: -30.10
Corrected total energy (MP2020 scheme), eV per atom: -7.37


(10)
Entry from Materials Project: a relaxed structure of BaCaCeSnO6 (GGA-PBE).

Structure (CIF):
```
data_BaCaCeSnO6
_chemical_formula_sum 'Ba2 Ca2 Ce2 Sn2 O12'
_space_group_name_H-M_alt 'P -1'
_space_group_IT_number 2
_space_group_name_Hall '-P 1'
_cell_length_a 5.9582
_cell_length_b 6.0109
_cell_length_c 8.4806
_cell_angle_alpha 90.18
_cell_angle_beta 90.28
_cell_angle_gamma 90.21
loop_
_atom_site_label
_atom_site_type_symbol
_atom_site_fract_x
_atom_site_fract_y
_atom_site_fract_z
Ba1 Ba 0.0059 0.0301 0.2500
Ca1 Ca 0.4930 0.5373 0.2532
Ce1 Ce 0.0000 0.5000 0.5000
Ce2 Ce 0.5000 0.0000 0.0000
Sn1 Sn 0.0000 0.5000 0.0000
Sn2 Sn 0.5000 0.0000 0.5000
O1 O 0.1051 0.4995 0.7592
O2 O 0.2050 0.7782 0.0336
O3 O 0.2214 0.7923 0.4697
O4 O 0.2848 0.3024 0.0592
O5 O 0.3063 0.2887 0.4457
O6 O 0.4376 0.0578 0.7412
```

Results
Distance to the lowest polymorph of the same formula, eV/f.u.: 0.031
Magnetic moment, μB/f.u.: 0.00
E_form, eV/f.u.: -30.90
Corrected total energy (MP2020 scheme), eV per atom: -7.45


(11)
Entry from Materials Project: a relaxed structure of BaCaCeSnO6 (GGA-PBE).

Structure (CIF):
```
data_BaCaCeSnO6
_chemical_formula_sum 'Ba4 Ca4 Ce4 Sn4 O24'
_space_group_name_H-M_alt 'P 2 2 2'
_space_group_IT_number 16
_space_group_name_Hall 'P 2 2'
_cell_length_a 8.4781
_cell_length_b 8.4835
_cell_length_c 8.4948
_cell_angle_alpha 90.00
_cell_angle_beta 90.00
_cell_angle_gamma 90.00
loop_
_atom_site_label
_atom_site_type_symbol
_atom_site_fract_x
_atom_site_fract_y
_atom_site_fract_z
Ba1 Ba 0.0000 0.0000 0.0000
Ba2 Ba 0.0000 0.0000 0.5000
Ba3 Ba 0.0000 0.5000 0.0000
Ba4 Ba 0.5000 0.5000 0.5000
Ca1 Ca 0.0000 0.5000 0.5000
Ca2 Ca 0.5000 0.0000 0.0000
Ca3 Ca 0.5000 0.0000 0.5000
Ca4 Ca 0.5000 0.5000 0.0000
Ce1 Ce 0.2553 0.2507 0.2512
Sn1 Sn 0.2561 0.2507 0.7486
O1 O 0.0097 0.2724 0.7820
O2 O 0.2097 0.3042 0.5087
O3 O 0.2268 0.0067 0.7176
O4 O 0.2989 0.2065 0.9912
O5 O 0.3004 0.4904 0.7972
O6 O 0.4929 0.2105 0.6914
```

Results
Distance to the lowest polymorph of the same formula, eV/f.u.: 0.000
Magnetic moment, μB/f.u.: 0.00
E_form, eV/f.u.: -30.93
Corrected total energy (MP2020 scheme), eV per atom: -7.45


(12)
Entry from Materials Project: a relaxed structure of BaCaCeTiO6 (GGA-PBE).

Structure (CIF):
```
data_BaCaCeTiO6
_chemical_formula_sum 'Ba4 Ca4 Ce4 Ti4 O24'
_space_group_name_H-M_alt 'F -4 3 m'
_space_group_IT_number 216
_space_group_name_Hall 'F -4 2 3'
_cell_length_a 8.3944
_cell_length_b 8.3944
_cell_length_c 8.3944
_cell_angle_alpha 90.00
_cell_angle_beta 90.00
_cell_angle_gamma 90.00
loop_
_atom_site_label
_atom_site_type_symbol
_atom_site_fract_x
_atom_site_fract_y
_atom_site_fract_z
Ba1 Ba 0.0000 0.0000 0.0000
Ca1 Ca 0.0000 0.0000 0.5000
Ce1 Ce 0.2500 0.2500 0.7500
Ti1 Ti 0.2500 0.2500 0.2500
O1 O 0.0145 0.2500 0.2500
```

Results
Magnetic moment, μB/f.u.: 0.00
E_form, eV/f.u.: -34.37
Corrected total energy (MP2020 scheme), eV per atom: -8.18